(1)
VASP calculation (PBE) on a relaxed Mg14ZnB crystal.

Cell and atoms, written as CIF:
```
data_Mg14ZnB
_cell_length_a 10.0342
_cell_length_b 6.2030
_cell_length_c 6.2030
_cell_angle_alpha 61.02
_cell_angle_beta 90.00
_cell_angle_gamma 90.00
_symmetry_space_group_name_H-M 'P 1'
_symmetry_Int_Tables_number 1
loop_
_symmetry_equiv_pos_as_xyz
'x,y,z'
loop_
_atom_site_label
_atom_site_fract_x
_atom_site_fract_y
_atom_site_fract_z
Mg1 0.0000 0.0000 0.0000
Mg2 0.0000 0.0054 0.5039
Mg3 0.0000 0.4988 0.4988
Mg4 0.0000 0.5039 0.0054
Mg5 0.2477 0.6694 0.6694
Mg6 0.2516 0.1698 0.1698
Mg7 0.2824 0.1687 0.6846
Mg8 0.2824 0.6846 0.1687
Mg9 0.5000 0.4655 0.9789
Mg10 0.5000 0.9789 0.4655
Mg11 0.7176 0.1687 0.6846
Mg12 0.7176 0.6846 0.1687
Mg13 0.7484 0.1698 0.1698
Mg14 0.7523 0.6694 0.6694
Zn1 0.5000 0.5000 0.5000
B1 0.5000 0.0278 0.0278
```

Output
- relative energy among the computed polymorphs (kcal/mol of atoms) = 0.00
- symmetry = Amm2 (38)
- E (eV/atom) = -1.736
- formation energy (eV per atom) = 0.16
- spin magnetization (μB per formula unit) = 0.0

---

(2)
VASP calculation (PBE) on a relaxed Mg14ZnB crystal.

Cell and atoms, written as CIF:
```
data_Mg14ZnB
_cell_length_a 6.1833
_cell_length_b 6.1833
_cell_length_c 10.0307
_cell_angle_alpha 90.00
_cell_angle_beta 90.00
_cell_angle_gamma 120.00
_symmetry_space_group_name_H-M 'P 1'
_symmetry_Int_Tables_number 1
loop_
_symmetry_equiv_pos_as_xyz
'x,y,z'
loop_
_atom_site_label
_atom_site_fract_x
_atom_site_fract_y
_atom_site_fract_z
Mg1 0.0000 0.0000 0.2470
Mg2 0.0000 0.0000 0.7530
Mg3 0.0119 0.5060 0.2567
Mg4 0.0119 0.5060 0.7433
Mg5 0.3302 0.1651 0.5000
Mg6 0.3355 0.1678 0.0000
Mg7 0.4940 0.5060 0.2567
Mg8 0.4940 0.5060 0.7433
Mg9 0.4940 0.9881 0.2567
Mg10 0.4940 0.9881 0.7433
Mg11 0.8322 0.1678 0.0000
Mg12 0.8322 0.6645 0.0000
Mg13 0.8349 0.1651 0.5000
Mg14 0.8349 0.6698 0.5000
Zn1 0.3333 0.6667 0.0000
B1 0.3333 0.6667 0.5000
```

Output
- relative energy among the computed polymorphs (kcal/mol of atoms) = 0.24
- symmetry = P-6m2 (187)
- E (eV/atom) = -1.725
- formation energy (eV per atom) = 0.17
- spin magnetization (μB per formula unit) = 0.0

---

(3)
VASP calculation (PBE) on a relaxed MnB2 crystal.

Cell and atoms, written as CIF:
```
data_MnB2
_cell_length_a 2.9890
_cell_length_b 2.9890
_cell_length_c 2.9475
_cell_angle_alpha 90.00
_cell_angle_beta 90.00
_cell_angle_gamma 120.00
_symmetry_space_group_name_H-M 'P 1'
_symmetry_Int_Tables_number 1
loop_
_symmetry_equiv_pos_as_xyz
'x,y,z'
loop_
_atom_site_label
_atom_site_fract_x
_atom_site_fract_y
_atom_site_fract_z
Mn1 0.0000 0.0000 0.0000
B1 0.3333 0.6667 0.5000
B2 0.6667 0.3333 0.5000
```

Output
- symmetry = P6/mmm (191)
- E (eV/atom) = -7.798
- formation energy (eV per atom) = -0.29

---

(4)
VASP calculation (PBE) on a relaxed MnB4 crystal.

Cell and atoms, written as CIF:
```
data_MnB4
_cell_length_a 2.9542
_cell_length_b 4.6330
_cell_length_c 5.3737
_cell_angle_alpha 90.00
_cell_angle_beta 90.00
_cell_angle_gamma 90.00
_symmetry_space_group_name_H-M 'P 1'
_symmetry_Int_Tables_number 1
loop_
_symmetry_equiv_pos_as_xyz
'x,y,z'
loop_
_atom_site_label
_atom_site_fract_x
_atom_site_fract_y
_atom_site_fract_z
Mn1 0.0000 0.0000 0.0000
Mn2 0.5000 0.5000 0.5000
B1 0.0000 0.2029 0.3406
B2 0.0000 0.2029 0.6594
B3 0.0000 0.7971 0.3406
B4 0.0000 0.7971 0.6594
B5 0.5000 0.2971 0.1594
B6 0.5000 0.2971 0.8406
B7 0.5000 0.7029 0.1594
B8 0.5000 0.7029 0.8406
```

Output
- relative energy among the computed polymorphs (kcal/mol of atoms) = 0.41
- symmetry = Immm (71)
- E (eV/atom) = -7.448
- formation energy (eV per atom) = -0.27

---

(5)
VASP calculation (PBE) on a relaxed Mn4B crystal.

Cell and atoms, written as CIF:
```
data_Mn4B
_cell_length_a 7.8067
_cell_length_b 7.2506
_cell_length_c 4.0687
_cell_angle_alpha 82.03
_cell_angle_beta 66.90
_cell_angle_gamma 31.07
_symmetry_space_group_name_H-M 'P 1'
_symmetry_Int_Tables_number 1
loop_
_symmetry_equiv_pos_as_xyz
'x,y,z'
loop_
_atom_site_label
_atom_site_fract_x
_atom_site_fract_y
_atom_site_fract_z
Mn1 0.0783 0.4217 0.0783
Mn2 0.0812 0.0812 0.9188
Mn3 0.3435 0.6565 0.3435
Mn4 0.4217 0.0783 0.4217
Mn5 0.6565 0.3435 0.6565
Mn6 0.6677 0.6677 0.8323
Mn7 0.8323 0.8323 0.6677
Mn8 0.9188 0.9188 0.0812
B1 0.1252 0.1252 0.3748
B2 0.3748 0.3748 0.1252
```

Output
- symmetry = F222 (22)
- E (eV/atom) = -8.801
- formation energy (eV per atom) = -0.14
- spin magnetization (μB per formula unit) = 0.0

---

(6)
VASP calculation (PBE) on a relaxed MnB4 crystal.

Cell and atoms, written as CIF:
```
data_MnB4
_cell_length_a 5.4437
_cell_length_b 5.3639
_cell_length_c 5.4759
_cell_angle_alpha 90.00
_cell_angle_beta 114.81
_cell_angle_gamma 90.00
_symmetry_space_group_name_H-M 'P 1'
_symmetry_Int_Tables_number 1
loop_
_symmetry_equiv_pos_as_xyz
'x,y,z'
loop_
_atom_site_label
_atom_site_fract_x
_atom_site_fract_y
_atom_site_fract_z
Mn1 0.2295 0.0005 0.2237
Mn2 0.2295 0.4995 0.7237
Mn3 0.7705 0.5005 0.2763
Mn4 0.7705 0.9995 0.7763
B1 0.1358 0.6859 0.3625
B2 0.1358 0.8141 0.8625
B3 0.1706 0.1308 0.8256
B4 0.1706 0.3692 0.3256
B5 0.3373 0.6306 0.1588
B6 0.3373 0.8694 0.6588
B7 0.3702 0.1797 0.6266
B8 0.3702 0.3203 0.1266
B9 0.6298 0.6797 0.8734
B10 0.6298 0.8203 0.3734
B11 0.6627 0.1306 0.3412
B12 0.6627 0.3694 0.8412
B13 0.8294 0.6308 0.6744
B14 0.8294 0.8692 0.1744
B15 0.8642 0.1859 0.1375
B16 0.8642 0.3141 0.6375
```

Output
- relative energy among the computed polymorphs (kcal/mol of atoms) = 0.00
- symmetry = P2_1/c (14)
- E (eV/atom) = -7.466
- formation energy (eV per atom) = -0.29

---

(7)
VASP calculation (PBE) on a relaxed MnB4 crystal.

Cell and atoms, written as CIF:
```
data_MnB4
_cell_length_a 4.6149
_cell_length_b 5.3658
_cell_length_c 2.9482
_cell_angle_alpha 90.00
_cell_angle_beta 90.00
_cell_angle_gamma 90.00
_symmetry_space_group_name_H-M 'P 1'
_symmetry_Int_Tables_number 1
loop_
_symmetry_equiv_pos_as_xyz
'x,y,z'
loop_
_atom_site_label
_atom_site_fract_x
_atom_site_fract_y
_atom_site_fract_z
Mn1 0.0000 0.0000 0.0000
Mn2 0.5000 0.5000 0.5000
B1 0.1651 0.3688 0.0000
B2 0.2356 0.6835 0.0000
B3 0.2644 0.1835 0.5000
B4 0.3349 0.8688 0.5000
B5 0.6651 0.1312 0.5000
B6 0.7356 0.8165 0.5000
B7 0.7644 0.3165 0.0000
B8 0.8349 0.6312 0.0000
```

Output
- relative energy among the computed polymorphs (kcal/mol of atoms) = 0.18
- symmetry = Pnnm (58)
- E (eV/atom) = -7.458
- formation energy (eV per atom) = -0.28

---

(8)
VASP calculation (PBE) on a relaxed Mn3B8Mo3 crystal.

Cell and atoms, written as CIF:
```
data_Mn3B8Mo3
_cell_length_a 3.0457
_cell_length_b 3.1255
_cell_length_c 13.1882
_cell_angle_alpha 90.00
_cell_angle_beta 90.00
_cell_angle_gamma 90.00
_symmetry_space_group_name_H-M 'P 1'
_symmetry_Int_Tables_number 1
loop_
_symmetry_equiv_pos_as_xyz
'x,y,z'
loop_
_atom_site_label
_atom_site_fract_x
_atom_site_fract_y
_atom_site_fract_z
Mn1 0.0000 0.0000 0.0000
Mn2 0.0000 0.0000 0.3632
Mn3 0.5000 0.5000 0.8765
B1 0.0000 0.0000 0.5493
B2 0.0000 0.0000 0.8379
B3 0.0000 0.5000 0.1116
B4 0.0000 0.5000 0.2507
B5 0.5000 0.0000 0.6256
B6 0.5000 0.0000 0.7647
B7 0.5000 0.5000 0.0374
B8 0.5000 0.5000 0.3237
Mo1 0.0000 0.5000 0.6943
Mo2 0.5000 0.0000 0.1809
Mo3 0.5000 0.5000 0.4987
```

Output
- symmetry = Pmm2 (25)
- E (eV/atom) = -8.547
- formation energy (eV per atom) = -0.44
- spin magnetization (μB per formula unit) = 5.6